## NaGaTe2 (PBE)

Data for crystalline NaGaTe2 at its relaxed geometry.

The symmetry is I4/mcm (140).

Cell: 8.290 8.290 6.888 Å, 90.00 90.00 90.00°
Positions (direct):
Na: 0.000 0.000 0.250
Na: 0.000 0.000 0.750
Na: 0.500 0.500 0.250
Na: 0.500 0.500 0.750
Ga: 0.000 0.500 0.250
Ga: 0.000 0.500 0.750
Ga: 0.500 0.000 0.250
Ga: 0.500 0.000 0.750
Te: 0.175 0.325 0.000
Te: 0.175 0.675 0.500
Te: 0.325 0.175 0.500
Te: 0.325 0.825 0.000
Te: 0.675 0.175 0.000
Te: 0.675 0.825 0.500
Te: 0.825 0.325 0.500
Te: 0.825 0.675 0.000

---

## NaGaTe2 (PBE)

Data for crystalline NaGaTe2 at its relaxed geometry.

Its largest piezoelectric modulus is 0.674 C/m². The symmetry is I-42d (122).

Cell: 7.146 7.146 10.980 Å, 90.00 90.00 90.00°
Positions (direct):
Na: 0.000 0.000 0.000
Na: 0.000 0.500 0.250
Na: 0.500 0.000 0.750
Na: 0.500 0.500 0.500
Ga: 0.000 0.000 0.500
Ga: 0.000 0.500 0.750
Ga: 0.500 0.000 0.250
Ga: 0.500 0.500 0.000
Te: 0.198 0.250 0.625
Te: 0.250 0.698 0.875
Te: 0.250 0.802 0.375
Te: 0.302 0.250 0.125
Te: 0.698 0.750 0.125
Te: 0.750 0.198 0.375
Te: 0.750 0.302 0.875
Te: 0.802 0.750 0.625

---

| no. | formation enthalpy at 0 K (meV/atom) |
| --- | --- |
| 1 | -795 |
| 2 | -801 |